Record 1
# Mg3Zn (PBE-GGA, relaxed)
# Crystal system ... cubic
data_Mg3Zn
_cell_length_a 4.354
_cell_length_b 4.354
_cell_length_c 4.354
_cell_angle_alpha 90.00
_cell_angle_beta 90.00
_cell_angle_gamma 90.00
_space_group_name_H-M_alt 'P m -3 m'
_space_group_IT_number 221
_space_group_name_Hall '-P 4 2 3'
loop_
_atom_site_label
_atom_site_type_symbol
_atom_site_fract_x
_atom_site_fract_y
_atom_site_fract_z
Mg1 Mg 0.000 0.000 0.500
Zn1 Zn 0.500 0.500 0.500



Record 2
# NaLi2Ru6O12 (PBE-GGA, relaxed)
# Crystal system ... hexagonal
# Magnetic moment ... 0.02 μB per cell
# Energy relative to the lowest polymorph listed for this composition ... 25 meV per atom
data_NaLi2Ru6O12
_cell_length_a 9.5717
_cell_length_b 9.5717
_cell_length_c 2.7597
_cell_angle_alpha 90.00
_cell_angle_beta 90.00
_cell_angle_gamma 120.00
_space_group_name_H-M_alt 'P -6'
_space_group_IT_number 174
loop_
_space_group_symop_operation_xyz
'x,y,z'
'-x+y,-x,-z'
'-y,x-y,z'
'x,y,-z'
'-x+y,-x,z'
'-y,x-y,-z'
loop_
_atom_site_label
_atom_site_type_symbol
_atom_site_fract_x
_atom_site_fract_y
_atom_site_fract_z
Na1 Na 0.0000 0.0000 0.0000
Li1 Li 0.3333 0.6667 0.5000
Li2 Li 0.6667 0.3333 0.0000
Ru1 Ru 0.0175 0.3588 0.5000
Ru2 Ru 0.3590 0.3416 0.0000
O1 O 0.1051 0.8127 0.5000
O2 O 0.1331 0.5442 0.0000
O3 O 0.2960 0.1073 0.0000
O4 O 0.5442 0.4117 0.5000



Formation enthalpy at 0 K / meV per atom: -20; -1511